# 1
The following is a PBE with a Hubbard U calculation of crystalline Cr12Fe7O48 at its relaxed geometry, from the Materials Project.

abc: 5.073 10.325 17.695
angles: 89.78 89.30 90.19
Atoms (fractional coordinates):
Cr  0.236  0.746  0.944
Cr  0.233  0.031  0.654
Cr  0.232  0.469  0.653
Cr  0.288  0.527  0.152
Cr  0.291  0.976  0.157
Cr  0.290  0.251  0.445
Cr  0.716  0.750  0.561
Cr  0.715  0.475  0.844
Cr  0.714  0.029  0.847
Cr  0.759  0.531  0.343
Cr  0.761  0.970  0.344
Cr  0.764  0.247  0.056
Fe  0.233  0.752  0.295
Fe  0.230  0.067  0.976
Fe  0.408  0.752  0.751
Fe  0.593  0.250  0.247
Fe  0.761  0.067  0.527
Fe  0.762  0.434  0.527
Fe  0.768  0.567  0.022
O  0.043  0.231  0.005
O  0.038  0.615  0.356
O  0.039  0.886  0.359
O  0.134  0.630  0.210
O  0.111  0.874  0.214
O  0.101  0.124  0.466
O  0.102  0.376  0.465
O  0.111  0.009  0.080
O  0.078  0.498  0.083
O  0.188  0.745  0.850
O  0.188  0.610  0.700
O  0.187  0.889  0.701
O  0.365  0.114  0.205
O  0.365  0.391  0.199
O  0.372  0.251  0.354
O  0.434  0.492  0.578
O  0.435  0.009  0.579
O  0.381  0.884  0.967
O  0.441  0.627  0.966
O  0.377  0.129  0.709
O  0.379  0.371  0.708
O  0.444  0.106  0.883
O  0.458  0.389  0.870
O  0.465  0.750  0.507
O  0.574  0.250  0.503
O  0.559  0.600  0.118
O  0.553  0.902  0.131
O  0.546  0.625  0.300
O  0.546  0.875  0.301
O  0.558  0.130  0.033
O  0.619  0.385  0.033
O  0.625  0.010  0.427
O  0.626  0.490  0.426
O  0.626  0.750  0.653
O  0.628  0.611  0.796
O  0.628  0.892  0.801
O  0.811  0.106  0.295
O  0.808  0.395  0.293
O  0.810  0.245  0.150
O  0.897  0.509  0.921
O  0.924  0.000  0.919
O  0.897  0.616  0.540
O  0.896  0.885  0.540
O  0.864  0.124  0.789
O  0.895  0.379  0.790
O  0.949  0.102  0.621
O  0.949  0.397  0.621
O  0.958  0.730  0.996

Properties
distance to the lowest polymorph of the same formula: 0.000 eV/atom
space-group type: P1, No. 1
ΔH_f (0 K): -1.51 eV/atom

***

# 2
The following is a PBE with a Hubbard U calculation of crystalline Li6V3P8O29 at its relaxed geometry, from the Materials Project.

abc: 9.782 9.782 14.028
angles: 89.68 89.68 60.29
Atoms (fractional coordinates):
Li  0.767  0.904  0.194
Li  0.906  0.331  0.192
Li  0.764  0.335  0.687
Li  0.335  0.902  0.685
Li  0.665  0.236  0.313
Li  0.333  0.765  0.194
Li  0.669  0.094  0.808
Li  0.235  0.667  0.806
Li  0.098  0.665  0.315
Li  0.096  0.233  0.806
Li  0.988  0.955  0.735
Li  0.045  0.012  0.265
V  0.563  0.437  0.500
V  0.436  0.564  0.000
V  0.565  0.998  0.000
V  0.436  0.004  0.496
V  0.996  0.564  0.504
V  0.002  0.435  0.000
P  0.916  0.779  0.911
P  0.778  0.915  0.410
P  0.912  0.311  0.406
P  0.663  0.669  0.618
P  0.666  0.664  0.118
P  0.774  0.314  0.908
P  0.686  0.226  0.092
P  0.312  0.915  0.903
P  0.689  0.088  0.594
P  0.313  0.778  0.408
P  0.222  0.687  0.592
P  0.331  0.337  0.382
P  0.336  0.334  0.882
P  0.085  0.688  0.097
P  0.221  0.084  0.089
P  0.085  0.222  0.590
O  0.999  0.767  0.187
O  0.922  0.748  0.410
O  0.781  0.014  0.683
O  0.744  0.917  0.910
O  0.922  0.619  0.919
O  0.809  0.671  0.570
O  0.919  0.462  0.415
O  0.995  0.222  0.679
O  0.921  0.336  0.910
O  0.678  0.808  0.079
O  0.624  0.910  0.421
O  0.811  0.510  0.079
O  0.663  0.669  0.724
O  0.656  0.662  0.224
O  0.675  0.513  0.578
O  0.470  0.911  0.921
O  0.512  0.815  0.576
O  0.740  0.341  0.411
O  0.797  0.203  0.000
O  0.774  0.226  0.180
O  0.774  0.226  0.820
O  0.622  0.471  0.921
O  0.512  0.674  0.074
O  0.659  0.260  0.589
O  0.465  0.618  0.419
O  0.344  0.915  0.409
O  0.799  0.002  0.502
O  0.778  0.005  0.321
O  0.207  0.991  0.170
O  0.664  0.079  0.090
O  0.529  0.378  0.079
O  0.333  0.749  0.906
O  0.487  0.325  0.422
O  0.382  0.535  0.581
O  0.216  0.781  0.680
O  0.219  0.784  0.320
O  0.204  0.796  0.500
O  0.251  0.667  0.094
O  0.490  0.189  0.921
O  0.538  0.081  0.585
O  0.326  0.488  0.926
O  0.338  0.344  0.776
O  0.331  0.337  0.276
O  0.185  0.488  0.424
O  0.381  0.078  0.081
O  0.329  0.191  0.430
O  0.085  0.656  0.591
O  0.988  0.802  0.009
O  0.009  0.793  0.830
O  0.089  0.530  0.079
O  0.192  0.322  0.921
O  0.090  0.376  0.579
O  0.252  0.078  0.590
O  0.233  0.001  0.813
O  0.198  0.012  0.991
O  0.083  0.256  0.090
O  0.986  0.219  0.317
O  0.998  0.201  0.498

Properties
distance to the lowest polymorph of the same formula: 0.007 eV/atom
space-group type: C2, No. 5
ΔH_f (0 K): -2.66 eV/atom

***

# 3
The following is a PBE with a Hubbard U calculation of crystalline FeOF at its relaxed geometry, from the Materials Project.

abc: 9.422 14.132 3.036
angles: 90.00 90.00 90.67
Atoms (fractional coordinates):
Fe  0.011  0.002  0.000
Fe  0.991  0.344  0.000
Fe  0.022  0.658  0.000
Fe  0.210  0.179  0.500
Fe  0.232  0.493  0.500
Fe  0.296  0.827  0.500
Fe  0.517  0.331  0.000
Fe  0.492  0.005  0.000
Fe  0.517  0.663  0.000
Fe  0.725  0.163  0.500
Fe  0.737  0.493  0.500
Fe  0.740  0.821  0.500
O  0.078  0.279  0.500
O  0.109  0.605  0.500
O  0.142  0.108  0.000
O  0.139  0.433  0.000
O  0.361  0.898  0.000
O  0.422  0.724  0.500
O  0.592  0.268  0.500
O  0.601  0.601  0.500
O  0.646  0.098  0.000
O  0.652  0.438  0.000
O  0.656  0.758  0.000
O  0.899  0.400  0.500
F  0.101  0.929  0.500
F  0.163  0.769  0.000
F  0.336  0.241  0.000
F  0.359  0.562  0.000
F  0.390  0.075  0.500
F  0.397  0.400  0.500
F  0.607  0.933  0.500
F  0.847  0.234  0.000
F  0.852  0.897  0.000
F  0.851  0.571  0.000
F  0.895  0.062  0.500
F  0.915  0.737  0.500

Properties
space-group type: Pm, No. 6
ΔH_f (0 K): -1.98 eV/atom

***

# 4
The following is a PBE with a Hubbard U calculation of crystalline Li3CrBPO7 at its relaxed geometry, from the Materials Project.

abc: 8.392 6.389 5.050
angles: 90.00 84.41 90.00
Atoms (fractional coordinates):
Li  0.094  0.250  0.760
Li  0.235  0.995  0.254
Li  0.235  0.505  0.254
Li  0.765  0.495  0.746
Li  0.765  0.005  0.746
Li  0.906  0.750  0.241
Cr  0.324  0.750  0.788
Cr  0.676  0.250  0.212
B  0.044  0.750  0.706
B  0.956  0.250  0.294
P  0.419  0.250  0.731
P  0.581  0.750  0.269
O  0.109  0.250  0.357
O  0.094  0.750  0.964
O  0.175  0.750  0.509
O  0.309  0.062  0.821
O  0.309  0.438  0.821
O  0.459  0.250  0.425
O  0.422  0.750  0.138
O  0.577  0.250  0.862
O  0.541  0.750  0.575
O  0.691  0.562  0.179
O  0.691  0.938  0.179
O  0.825  0.250  0.491
O  0.906  0.250  0.036
O  0.891  0.750  0.644

Properties
space-group type: P2_1/m, No. 11
ΔH_f (0 K): -2.63 eV/atom

***

# 5
The following is a PBE with a Hubbard U calculation of crystalline SrCrInWO6 at its relaxed geometry, from the Materials Project.

abc: 5.665 5.665 5.665
angles: 60.00 60.00 60.00
Atoms (fractional coordinates):
Sr  0.750  0.750  0.750
Cr  0.000  0.000  0.000
In  0.250  0.250  0.250
W  0.500  0.500  0.500
O  0.745  0.255  0.255
O  0.255  0.745  0.745
O  0.745  0.255  0.745
O  0.255  0.745  0.255
O  0.745  0.745  0.255
O  0.255  0.255  0.745

Properties
space-group type: F-43m, No. 216
ΔH_f (0 K): -2.26 eV/atom

***

# 6
The following is a PBE with a Hubbard U calculation of crystalline KMgFeP2O8 at its relaxed geometry, from the Materials Project.

abc: 9.830 9.830 9.556
angles: 61.21 61.21 32.45
Atoms (fractional coordinates):
K  0.756  0.264  0.240
K  0.264  0.756  0.740
Mg  0.351  0.948  0.266
Mg  0.948  0.351  0.766
Fe  0.053  0.639  0.239
Fe  0.639  0.053  0.739
P  0.840  0.433  0.446
P  0.567  0.150  0.059
P  0.150  0.567  0.559
P  0.433  0.840  0.946
O  0.943  0.524  0.353
O  0.478  0.054  0.148
O  0.054  0.478  0.648
O  0.524  0.943  0.853
O  0.339  0.869  0.125
O  0.141  0.648  0.373
O  0.648  0.141  0.873
O  0.869  0.339  0.625
O  0.802  0.985  0.125
O  0.997  0.217  0.368
O  0.217  0.997  0.868
O  0.985  0.802  0.625
O  0.435  0.350  0.576
O  0.662  0.555  0.933
O  0.555  0.662  0.433
O  0.350  0.435  0.076

Properties
distance to the lowest polymorph of the same formula: 0.009 eV/atom
space-group type: Cc, No. 9
ΔH_f (0 K): -2.66 eV/atom

***

# 7
The following is a PBE with a Hubbard U calculation of crystalline Li7Mn11O24 at its relaxed geometry, from the Materials Project.

abc: 5.814 8.537 10.033
angles: 113.39 106.25 90.11
Atoms (fractional coordinates):
Li  0.101  0.736  0.702
Li  0.752  0.383  0.006
Li  0.424  0.043  0.341
Li  0.576  0.957  0.659
Li  0.248  0.617  0.994
Li  0.899  0.264  0.298
Li  0.000  0.500  0.500
Mn  0.660  0.660  0.827
Mn  0.826  0.342  0.664
Mn  0.000  0.000  0.000
Mn  0.165  0.181  0.837
Mn  0.340  0.340  0.173
Mn  0.335  0.342  0.664
Mn  0.500  0.000  0.000
Mn  0.665  0.658  0.336
Mn  0.835  0.819  0.163
Mn  0.000  0.000  0.500
Mn  0.174  0.658  0.336
O  0.345  0.572  0.686
O  0.656  0.423  0.815
O  0.835  0.571  0.683
O  0.029  0.248  0.004
O  0.153  0.393  0.816
O  0.172  0.958  0.854
O  0.346  0.106  0.160
O  0.466  0.255  0.997
O  0.534  0.745  0.003
O  0.696  0.893  0.332
O  0.828  0.042  0.146
O  0.654  0.894  0.840
O  0.847  0.607  0.184
O  0.990  0.724  0.482
O  0.971  0.752  0.996
O  0.140  0.892  0.331
O  0.165  0.429  0.317
O  0.486  0.738  0.473
O  0.514  0.262  0.527
O  0.344  0.577  0.185
O  0.655  0.428  0.314
O  0.860  0.108  0.669
O  0.010  0.276  0.518
O  0.304  0.107  0.668

Properties
distance to the lowest polymorph of the same formula: 0.000 eV/atom
space-group type: P-1, No. 2
ΔH_f (0 K): -2.03 eV/atom

***

# 8
The following is a PBE with a Hubbard U calculation of crystalline BaU2V2O12 at its relaxed geometry, from the Materials Project.

abc: 8.466 6.734 10.573
angles: 75.97 90.00 90.00
Atoms (fractional coordinates):
Ba  0.973  0.468  0.845
Ba  0.027  0.468  0.345
U  0.769  0.017  0.679
U  0.273  0.985  0.821
U  0.727  0.985  0.321
U  0.231  0.017  0.179
V  0.101  0.884  0.554
V  0.605  0.117  0.947
V  0.395  0.117  0.447
V  0.899  0.884  0.054
O  0.735  0.741  0.737
O  0.213  0.255  0.769
O  0.787  0.255  0.269
O  0.265  0.741  0.237
O  0.182  0.052  0.391
O  0.695  0.960  0.106
O  0.305  0.960  0.606
O  0.818  0.052  0.891
O  0.833  0.287  0.628
O  0.300  0.709  0.875
O  0.700  0.709  0.375
O  0.167  0.287  0.128
O  0.102  0.638  0.555
O  0.631  0.359  0.940
O  0.369  0.359  0.440
O  0.898  0.638  0.055
O  0.039  0.896  0.720
O  0.542  0.077  0.786
O  0.458  0.077  0.286
O  0.961  0.896  0.220
O  0.906  0.976  0.495
O  0.403  0.044  0.005
O  0.597  0.044  0.505
O  0.094  0.976  0.995

Properties
space-group type: Pc, No. 7
ΔH_f (0 K): -3.13 eV/atom

***

Number 1: energy -0.242 Ha/atom. Number 2: energy -0.258 Ha/atom. Number 3: energy -0.219 Ha/atom. Number 4: energy -0.253 Ha/atom. Number 5: energy -0.253 Ha/atom. Number 6: energy -0.250 Ha/atom. Number 7: energy -0.248 Ha/atom. Number 8: energy -0.310 Ha/atom.